No. 1
ZnCr2P2O10 | the Materials Project | PBE with a Hubbard U | optimized geometry; energy relative to the elements = -33.6 eV/f.u.; total magnetization = 4.000 μB/f.u.; symmetry = Fdd2 (43)
1.0
0.0000 8.0456 3.5673
5.6144 0.0000 3.5673
5.6144 8.0456 0.0000
Zn Cr P O
2 4 4 20
Cartesian
0.0000 0.0000 0.0000
2.8072 4.0228 1.7836
7.0288 6.0241 2.6626
4.2216 6.0443 4.4462
7.0073 10.0470 4.4462
4.2001 10.0671 2.6626
2.8017 0.6712 1.7686
5.6089 3.3516 3.5522
2.8127 7.3744 1.7686
5.6200 12.7397 3.5522
5.7568 5.5934 1.2161
7.1636 7.7875 1.5515
6.8719 4.2702 3.7560
8.2989 6.4432 4.1245
8.2793 9.6162 2.9997
5.4721 10.4979 1.2161
4.3563 4.2810 3.3351
4.0653 8.3038 1.5515
5.6274 6.7461 3.5544
2.9496 6.4751 2.9997
5.6015 9.3452 3.5544
6.8726 11.8103 3.3351
7.1642 8.2931 5.5396
8.4087 10.7689 5.3381
5.4917 5.6252 5.9081
8.4346 13.3680 5.3381
4.3570 11.8210 3.7560
4.0647 7.7982 5.5396
2.9300 9.6480 4.1245
5.7372 10.4661 5.9081

---

No. 2
CrPb2O5 | the Materials Project | PBE with a Hubbard U | optimized geometry; energy relative to the elements = -13.6 eV/f.u.; symmetry = C2/m (12)
1.0
7.0295 -2.9142 0.0000
7.0295 2.9142 0.0000
-2.8186 0.0000 6.6924
Cr Pb O
2 4 10
Cartesian
2.0020 0.0000 1.0464
9.2385 0.0000 5.6460
0.2858 0.0000 4.0602
6.1435 0.0000 1.6080
5.0970 0.0000 5.0844
10.9547 0.0000 2.6322
2.8550 1.5714 4.8940
-1.1730 0.0000 6.1001
5.6203 1.4399 3.3462
3.6574 0.0000 1.2779
8.3855 1.5714 1.7984
2.8550 -1.5714 4.8940
7.5831 0.0000 5.4145
5.6203 -1.4399 3.3462
12.4135 0.0000 0.5923
8.3855 -1.5714 1.7984

---

No. 3
CrPbO4 | the Materials Project | PBE with a Hubbard U | optimized geometry; energy relative to the elements = -10.3 eV/f.u.; offset from the most stable computed form = 0.000 eV per atom; symmetry = P2_1/c (14)
1.0
6.9227 0.0000 0.0000
0.0000 7.6205 0.0000
-5.2944 0.0000 7.1041
Cr Pb O
4 4 16
Cartesian
-0.3136 1.2582 2.1191
-2.9608 2.5520 5.6712
4.5890 5.0685 1.4330
1.9418 6.3623 4.9850
1.0163 4.8256 1.5323
-1.6309 6.6051 5.0844
3.2592 1.0154 2.0198
0.6120 2.7949 5.5719
-1.4003 5.4059 2.7603
-4.0475 6.0249 6.3124
-1.4060 0.7248 3.2890
-4.0532 3.0855 6.8410
0.8487 0.1097 1.7961
-1.7985 3.7005 5.3482
-2.1822 1.1732 6.2146
0.4651 2.6370 2.6625
1.1632 4.9835 4.4416
3.8104 6.4473 0.8895
3.4268 3.9200 1.7560
0.7795 7.5108 5.3080
5.6814 4.5350 0.2631
3.0342 6.8957 3.8152
5.6757 1.5956 0.7918
3.0285 2.2147 4.3438

---

No. 4
CrPbO4 | the Materials Project | PBE with a Hubbard U | optimized geometry; energy relative to the elements = -10.2 eV/f.u.; total magnetization = 0.000 μB/f.u.; offset from the most stable computed form = 0.020 eV per atom; symmetry = Pnma (62)
1.0
8.3038 0.0000 0.0000
0.0000 5.8740 0.0000
0.0000 0.0000 7.7341
Cr Pb O
4 4 16
Cartesian
0.4198 1.4685 1.3162
3.7321 4.4055 5.1832
4.5717 1.4685 2.5509
7.8841 4.4055 6.4179
1.6987 1.4685 5.4293
2.4532 4.4055 1.5622
5.8506 1.4685 6.1719
6.6051 4.4055 2.3048
0.5573 0.0604 2.2380
0.5573 2.8766 2.2380
1.0609 4.4055 7.1316
1.6164 1.4685 0.1672
2.5356 4.4055 4.0343
3.0910 1.4685 3.2646
3.5946 2.9975 6.1051
3.5946 5.8136 6.1051
4.7092 0.0604 1.6290
4.7092 2.8766 1.6290
5.2128 4.4055 4.4696
5.7683 1.4685 3.6999
6.6875 4.4055 7.5669
7.2430 1.4685 0.6025
7.7466 2.9975 5.4961
7.7466 5.8136 5.4961

---

No. 5
CrSb3Pb4O13 | the Materials Project | PBE with a Hubbard U | optimized geometry; energy relative to the elements = -39.3 eV/f.u.; total magnetization = 0.021 μB/f.u.
1.0
5.2906 -5.2906 0.0454
-10.6268 -5.3816 5.2906
-0.0456 -5.2907 -5.2909
Cr Sb Pb O
2 6 8 26
Cartesian
-5.3299 -8.0101 2.6610
-0.0386 -7.9652 -2.6296
2.5968 -10.6013 -2.6039
-2.6941 -10.6465 2.6871
2.5969 -7.9399 -5.2654
-2.6937 -7.9855 0.0254
-0.0189 -5.3107 0.0256
-5.3551 -10.6468 0.0255
-5.2976 -2.7071 2.6292
-10.6337 -8.0434 2.6290
-2.6856 -5.3178 2.6550
-8.0216 -10.6537 2.6547
-2.6859 -2.6820 0.0178
-8.0226 -8.0186 0.0175
-5.3232 -5.3185 0.0178
-10.6593 -10.6543 0.0175
3.9572 -6.6256 -1.2892
-1.3791 -11.9619 -1.2892
-1.3941 -6.6102 -3.4120
-6.6851 -6.6554 1.8787
-1.3940 -8.7480 -1.2744
-6.6847 -8.7933 4.0164
0.7437 -6.6101 -1.2742
-4.5927 -11.9462 -1.2742
-1.3464 -6.6580 0.7979
-6.6826 -11.9941 0.7978
-1.3463 -4.5384 -1.3219
-6.6827 -9.8745 -1.3219
-3.4660 -6.6581 -1.3220
-8.7567 -6.7035 3.9688
1.2991 -9.3033 -1.8617
-3.9916 -9.3484 3.4289
1.2991 -7.1974 -3.9676
-3.9915 -7.2426 1.3230
-0.7612 -4.0126 1.3233
-6.0977 -9.3488 1.3229
1.2991 -3.9672 -0.7307
-4.0369 -9.3035 -0.7309
1.2991 -6.0668 1.3690
-4.0369 -11.4031 1.3686
3.3533 -9.2578 -3.9219
-1.9372 -9.3034 1.3688

---

No. 6
CrPdO2 | the Materials Project | PBE with a Hubbard U | optimized geometry; energy relative to the elements = -6.7 eV/f.u.
1.0
-1.5030 -2.6033 0.0000
8.9859 -5.1880 0.0124
-1.4914 0.8610 6.0931
Cr Pd O
4 4 8
Cartesian
4.4858 -6.0610 3.0572
-1.4924 -0.8739 3.0453
-0.0081 -3.4664 3.0502
3.0016 -3.4685 3.0522
3.0001 -1.7321 6.0931
5.9892 -5.1934 0.0156
7.4931 -4.3262 6.0993
1.4964 -2.5995 0.0094
4.4974 -4.3321 4.0817
7.4932 -4.3263 4.0707
0.0043 -1.7380 4.0755
3.0003 -1.7323 4.0644
5.9891 -5.1934 2.0442
-1.5039 -2.6028 2.0208
1.4962 -2.5993 2.0380
2.9892 -5.1969 2.0270

---

No. 7
PrCrO3 | the Materials Project | PBE with a Hubbard U | optimized geometry; energy relative to the elements = -15.0 eV/f.u.; total magnetization = 3.000 μB/f.u.; symmetry = Pm-3m (221)
1.0
3.8868 0.0000 0.0000
0.0000 3.8868 0.0000
0.0000 0.0000 3.8868
Pr Cr O
1 1 3
Cartesian
0.0000 0.0000 0.0000
1.9434 1.9434 1.9434
0.0000 1.9434 1.9434
1.9434 0.0000 1.9434
1.9434 1.9434 0.0000

---

No. 8
PrCrO3 | the Materials Project | PBE with a Hubbard U | optimized geometry; energy relative to the elements = -15.6 eV/f.u.; symmetry = Pnma (62)
1.0
5.6330 0.0000 0.0000
0.0000 7.8394 0.0000
0.0000 0.0000 5.5108
Pr Cr O
4 4 12
Cartesian
0.2725 1.9599 0.0650
2.5440 5.8796 2.8204
3.0890 1.9599 2.6904
5.3605 5.8796 5.4458
0.0000 0.0000 2.7554
0.0000 3.9197 2.7554
2.8165 0.0000 0.0000
2.8165 3.9197 0.0000
0.1290 5.8796 2.2797
1.1784 4.2822 4.3631
1.1784 7.4770 4.3631
1.6381 0.3624 1.6077
1.6381 3.5573 1.6077
2.6875 1.9599 5.0351
2.9455 5.8796 0.4757
3.9949 4.2822 3.9031
3.9949 7.4770 3.9031
4.4546 0.3624 1.1477
4.4546 3.5573 1.1477
5.5039 1.9599 3.2311